{"formula": "Li2NbVO4", "functional": "PBE with a Hubbard U", "state": "relaxed", "cell": [[-2.945, 3.167, 4.279], [2.945, -3.167, 4.279], [2.945, 3.167, -4.279]], "species": ["Nb", "O", "Li", "Nb", "V", "Li", "O", "Li", "O", "O", "O", "O", "V", "O", "O", "Li"], "fractional_positions": [[0.000, 0.500, 0.000], [0.747, 0.749, 0.998], [0.500, 0.500, 0.000], [0.000, 0.000, 0.500], [0.000, 0.000, 0.000], [0.500, 0.000, 0.000], [0.251, 0.749, 0.502], [0.500, 0.500, 0.500], [0.253, 0.251, 0.002], [0.763, 0.766, 0.503], [0.237, 0.740, 0.003], [0.763, 0.260, 0.997], [0.500, 0.000, 0.500], [0.237, 0.234, 0.497], [0.749, 0.251, 0.498], [0.000, 0.500, 0.500]], "delta_e_f_kj_per_mol_atoms": -239.34, "total_energy_ev_per_fu": -58.2}

{"formula": "Na3Ni2P2C2O14", "functional": "PBE with a Hubbard U", "state": "relaxed", "cell": [[-2.893, 5.121, -2.765], [-4.862, -5.418, -4.949], [-7.399, -0.336, 7.118]], "species": ["O", "Na", "Ni", "O", "O", "P", "O", "C", "O", "O", "O", "O", "O", "O", "P", "O", "O", "O", "Na", "O", "O", "O", "O", "O", "O", "O", "Na", "O", "O", "C", "P", "C", "O", "Na", "Na", "O", "O", "Ni", "O", "Ni", "P", "O", "C", "Ni", "O", "Na"], "fractional_positions": [[0.746, 0.537, 0.790], [0.985, 0.744, 0.873], [0.745, 0.343, 0.393], [0.242, 0.466, 0.712], [0.562, 0.676, 0.605], [0.749, 0.575, 0.640], [0.748, 0.425, 0.066], [0.249, 0.928, 0.144], [0.246, 0.463, 0.210], [0.253, 0.068, 0.664], [0.757, 0.426, 0.567], [0.250, 0.069, 0.160], [0.247, 0.867, 0.030], [0.251, 0.827, 0.238], [0.248, 0.423, 0.860], [0.935, 0.680, 0.613], [0.061, 0.322, 0.896], [0.062, 0.324, 0.395], [0.512, 0.744, 0.876], [0.750, 0.931, 0.840], [0.435, 0.324, 0.899], [0.751, 0.174, 0.263], [0.753, 0.932, 0.336], [0.435, 0.320, 0.387], [0.257, 0.574, 0.433], [0.248, 0.575, 0.934], [0.028, 0.256, 0.622], [0.255, 0.873, 0.529], [0.251, 0.826, 0.737], [0.254, 0.930, 0.643], [0.748, 0.577, 0.140], [0.749, 0.072, 0.856], [0.751, 0.173, 0.762], [0.012, 0.256, 0.124], [0.528, 0.744, 0.378], [0.561, 0.678, 0.104], [0.742, 0.534, 0.288], [0.245, 0.657, 0.607], [0.747, 0.133, 0.970], [0.245, 0.657, 0.112], [0.249, 0.425, 0.360], [0.755, 0.127, 0.471], [0.754, 0.070, 0.357], [0.745, 0.343, 0.888], [0.935, 0.676, 0.101], [0.485, 0.256, 0.127]], "delta_e_f_kj_per_mol_atoms": -191.45, "total_energy_ev_per_fu": -145.0, "e_above_lowest_polymorph_mev_per_atom": 7.7}

{"formula": "K3Mo2BrO7", "functional": "PBE with a Hubbard U", "state": "relaxed", "cell": [[3.078, -5.331, 0.000], [3.078, 5.331, 0.000], [0.000, 0.000, 15.934]], "species": ["K", "O", "O", "Br", "K", "O", "Mo", "K", "Mo", "O", "Mo", "O", "Br", "O", "O", "O", "O", "O", "O", "K", "O", "K", "O", "K", "Mo", "O"], "fractional_positions": [[0.667, 0.333, 0.750], [0.156, 0.844, 0.408], [0.156, 0.311, 0.408], [0.333, 0.667, 0.750], [0.333, 0.667, 0.250], [0.844, 0.156, 0.908], [0.000, 0.000, 0.630], [0.667, 0.333, 0.041], [0.000, 0.000, 0.130], [0.311, 0.156, 0.592], [0.000, 0.000, 0.370], [0.844, 0.156, 0.592], [0.667, 0.333, 0.250], [0.844, 0.689, 0.908], [0.844, 0.689, 0.592], [0.156, 0.844, 0.092], [0.311, 0.156, 0.908], [0.689, 0.844, 0.408], [0.000, 0.000, 0.750], [0.667, 0.333, 0.459], [0.000, 0.000, 0.250], [0.333, 0.667, 0.959], [0.156, 0.311, 0.092], [0.333, 0.667, 0.541], [0.000, 0.000, 0.870], [0.689, 0.844, 0.092]], "delta_e_f_kj_per_mol_atoms": -199.57, "total_energy_ev_per_fu": -77.0}

{"formula": "MgCoO2", "functional": "PBE with a Hubbard U", "state": "relaxed", "cell": [[-2.463, -1.413, -1.004], [3.653, -6.428, 0.085], [-0.880, -3.180, 6.635]], "species": ["O", "Mg", "Co", "O", "Mg", "O", "Co", "O", "Mg", "O", "O", "O", "Mg", "Co", "O", "Co"], "fractional_positions": [[0.250, 0.064, 0.308], [0.250, 0.561, 0.312], [0.250, 0.065, 0.813], [0.750, 0.439, 0.184], [0.250, 0.311, 0.064], [0.750, 0.936, 0.692], [0.750, 0.935, 0.187], [0.250, 0.561, 0.816], [0.750, 0.689, 0.936], [0.250, 0.807, 0.066], [0.750, 0.682, 0.439], [0.750, 0.193, 0.934], [0.750, 0.439, 0.688], [0.750, 0.188, 0.438], [0.250, 0.318, 0.561], [0.250, 0.812, 0.562]], "delta_e_f_kj_per_mol_atoms": -205.03, "total_energy_ev_per_fu": -24.1}

{"formula": "Ba7V6CoCl4O21", "functional": "PBE with a Hubbard U", "state": "relaxed", "cell": [[4.153, 6.695, -6.279], [-9.700, 1.586, 2.213], [4.063, 8.481, 11.729]], "species": ["O", "Co", "V", "O", "O", "O", "V", "V", "O", "O", "Ba", "Cl", "O", "V", "Ba", "Ba", "Cl", "Ba", "Cl", "O", "O", "V", "O", "Ba", "V", "O", "O", "O", "Ba", "V", "V", "O", "O", "O", "O", "Cl", "O", "O", "Co", "Ba", "Ba", "O", "O", "O", "Cl", "O", "O", "O", "Cl", "O", "O", "Cl", "V", "Ba", "O", "V", "O", "O", "O", "V", "O", "Ba", "O", "V", "Ba", "O", "O", "Cl", "Ba", "O", "Ba", "O", "O", "O", "O", "Ba", "O", "O"], "fractional_positions": [[0.145, 0.650, 0.884], [0.000, 0.000, 0.500], [0.174, 0.832, 0.369], [0.540, 0.370, 0.591], [0.168, 0.875, 0.750], [0.667, 0.667, 0.627], [0.493, 0.493, 0.362], [0.493, 0.493, 0.138], [0.986, 0.162, 0.085], [0.667, 0.667, 0.873], [0.163, 0.455, 0.460], [0.841, 0.510, 0.750], [0.162, 0.986, 0.415], [0.174, 0.832, 0.131], [0.837, 0.545, 0.960], [0.866, 0.866, 0.750], [0.817, 0.817, 0.111], [0.545, 0.837, 0.960], [0.817, 0.817, 0.389], [0.630, 0.460, 0.409], [0.333, 0.946, 0.912], [0.507, 0.507, 0.862], [0.875, 0.168, 0.750], [0.545, 0.837, 0.540], [0.826, 0.168, 0.869], [0.333, 0.946, 0.588], [0.014, 0.838, 0.915], [0.838, 0.014, 0.915], [0.455, 0.163, 0.040], [0.507, 0.507, 0.638], [0.832, 0.174, 0.131], [0.442, 0.442, 0.750], [0.145, 0.650, 0.616], [0.460, 0.630, 0.091], [0.986, 0.162, 0.415], [0.183, 0.183, 0.889], [0.855, 0.350, 0.384], [0.650, 0.145, 0.616], [0.000, 0.000, 0.000], [0.545, 0.847, 0.250], [0.455, 0.153, 0.750], [0.054, 0.667, 0.412], [0.162, 0.986, 0.085], [0.946, 0.333, 0.912], [0.510, 0.841, 0.750], [0.125, 0.832, 0.250], [0.333, 0.333, 0.127], [0.946, 0.333, 0.588], [0.183, 0.183, 0.611], [0.540, 0.370, 0.909], [0.350, 0.855, 0.116], [0.490, 0.159, 0.250], [0.168, 0.826, 0.869], [0.163, 0.455, 0.040], [0.460, 0.630, 0.409], [0.826, 0.168, 0.631], [0.855, 0.350, 0.116], [0.667, 0.054, 0.088], [0.558, 0.558, 0.250], [0.168, 0.826, 0.631], [0.650, 0.145, 0.884], [0.153, 0.455, 0.750], [0.014, 0.838, 0.585], [0.832, 0.174, 0.369], [0.455, 0.163, 0.460], [0.370, 0.540, 0.591], [0.838, 0.014, 0.585], [0.159, 0.490, 0.250], [0.847, 0.545, 0.250], [0.350, 0.855, 0.384], [0.134, 0.134, 0.250], [0.333, 0.333, 0.373], [0.667, 0.054, 0.412], [0.630, 0.460, 0.091], [0.832, 0.125, 0.250], [0.837, 0.545, 0.540], [0.054, 0.667, 0.088], [0.370, 0.540, 0.909]], "delta_e_f_kj_per_mol_atoms": -260.56, "total_energy_ev_per_fu": -265.4}

{"formula": "Fe3P2H3O8", "functional": "PBE with a Hubbard U", "state": "relaxed", "cell": [[8.561, 0.000, 0.000], [0.000, 9.307, 0.000], [0.000, 0.000, 9.655]], "species": ["O", "P", "O", "O", "O", "O", "Fe", "P", "H", "O", "H", "O", "O", "O", "O", "O", "Fe", "O", "P", "O", "Fe", "Fe", "O", "H", "O", "O", "H", "Fe", "P", "O", "O", "O", "P", "Fe", "O", "P", "H", "O", "O", "P", "H", "O", "O", "O", "O", "H", "Fe", "H", "O", "H", "O", "O", "H", "Fe", "O", "Fe", "H", "H", "O", "Fe", "Fe", "O", "P", "Fe"], "fractional_positions": [[0.177, 0.832, 0.489], [0.710, 0.776, 0.847], [0.411, 0.669, 0.219], [0.904, 0.960, 0.290], [0.193, 0.702, 0.715], [0.816, 0.434, 0.794], [0.988, 0.573, 0.719], [0.217, 0.852, 0.643], [0.387, 0.494, 0.972], [0.823, 0.832, 0.511], [0.500, 0.560, 0.500], [0.404, 0.460, 0.710], [0.624, 0.243, 0.795], [0.382, 0.905, 0.670], [0.308, 0.771, 0.995], [0.876, 0.743, 0.795], [0.012, 0.573, 0.281], [0.307, 0.202, 0.715], [0.283, 0.352, 0.643], [0.911, 0.169, 0.781], [0.132, 0.978, 0.347], [0.868, 0.978, 0.653], [0.589, 0.669, 0.781], [0.113, 0.994, 0.972], [0.089, 0.169, 0.219], [0.184, 0.434, 0.206], [0.267, 0.082, 0.421], [0.865, 0.134, 0.155], [0.210, 0.276, 0.153], [0.692, 0.771, 0.005], [0.882, 0.405, 0.330], [0.118, 0.405, 0.670], [0.783, 0.852, 0.357], [0.488, 0.073, 0.281], [0.124, 0.743, 0.205], [0.717, 0.352, 0.357], [0.733, 0.082, 0.579], [0.808, 0.271, 0.005], [0.807, 0.702, 0.285], [0.790, 0.276, 0.847], [0.613, 0.494, 0.028], [0.618, 0.905, 0.330], [0.376, 0.243, 0.205], [0.192, 0.271, 0.995], [0.684, 0.934, 0.794], [0.233, 0.582, 0.421], [0.635, 0.634, 0.155], [0.000, 0.996, 0.000], [0.677, 0.332, 0.511], [0.500, 0.496, 0.000], [0.096, 0.960, 0.710], [0.316, 0.934, 0.206], [0.887, 0.994, 0.028], [0.368, 0.478, 0.347], [0.596, 0.460, 0.290], [0.135, 0.134, 0.845], [0.767, 0.582, 0.579], [0.000, 0.060, 0.500], [0.693, 0.202, 0.285], [0.632, 0.478, 0.653], [0.365, 0.634, 0.845], [0.323, 0.332, 0.489], [0.290, 0.776, 0.153], [0.512, 0.073, 0.719]], "delta_e_f_kj_per_mol_atoms": -152.42, "total_energy_ev_per_fu": -99.0}

{"formula": "La2ZnWO6", "functional": "PBE with a Hubbard U", "state": "relaxed", "cell": [[-4.009, 0.568, -3.953], [-5.411, -0.028, 1.657], [-2.883, 4.865, -0.204]], "species": ["La", "La", "O", "O", "O", "O", "O", "Zn", "O", "W"], "fractional_positions": [[0.250, 0.250, 0.250], [0.750, 0.750, 0.750], [0.660, 0.847, 0.246], [0.246, 0.660, 0.847], [0.153, 0.754, 0.340], [0.754, 0.340, 0.153], [0.340, 0.153, 0.754], [0.500, 0.500, 0.500], [0.847, 0.246, 0.660], [0.000, 0.000, 0.000]], "delta_e_f_kj_per_mol_atoms": -276.55, "total_energy_ev_per_fu": -73.9}

{"formula": "Li3Mn2Si2O8", "functional": "PBE with a Hubbard U", "state": "relaxed", "cell": [[-0.143, -1.376, -5.092], [-1.077, -5.048, 1.088], [-6.459, 1.219, -0.255]], "species": ["O", "O", "Li", "O", "Si", "O", "O", "Li", "Si", "Mn", "O", "Li", "Mn", "O", "O"], "fractional_positions": [[0.634, 0.708, 0.995], [0.720, 0.635, 0.494], [0.687, 0.313, 0.000], [0.365, 0.280, 0.506], [0.323, 0.677, 0.000], [0.801, 0.202, 0.709], [0.190, 0.817, 0.801], [0.806, 0.810, 0.248], [0.669, 0.331, 0.500], [0.192, 0.173, 0.264], [0.183, 0.810, 0.199], [0.190, 0.194, 0.752], [0.827, 0.808, 0.736], [0.292, 0.365, 0.005], [0.798, 0.199, 0.291]], "delta_e_f_kj_per_mol_atoms": -249.94, "total_energy_ev_per_fu": -104.5, "e_above_lowest_polymorph_mev_per_atom": 10.9}

Question: Which formula does entry 4 have?
Answer: MgCoO2

Question: Which formula does entry 8 have?
Answer: Li3Mn2Si2O8